DFT (PBE-GGA) results for a relaxed Li5SbS4 crystal.

Summary:
E: -40.36 eV per formula unit
total magnetization: 0.020 μB per cell
relative energy among the computed polymorphs: 0.05 eV/f.u.
formation energy: -117 kJ/mol of atoms

a b c (Å): 11.2912 11.7856 11.9208
angles (deg): 90.00 90.00 90.00
Fractional positions:
1 Li 0.1121 0.1326 0.1488
2 Li 0.1121 0.3674 0.6488
3 Li 0.1218 0.5966 0.8531
4 Li 0.1218 0.9034 0.3531
5 Li 0.1335 0.6542 0.0931
6 Li 0.1335 0.8458 0.5931
7 Li 0.1424 0.6386 0.3672
8 Li 0.1424 0.8614 0.8672
9 Li 0.1491 0.1037 0.5996
10 Li 0.1491 0.3963 0.0996
11 Li 0.3509 0.6037 0.5996
12 Li 0.3509 0.8963 0.0996
13 Li 0.3576 0.1386 0.3672
14 Li 0.3576 0.3614 0.8672
15 Li 0.3665 0.1542 0.0931
16 Li 0.3665 0.3458 0.5931
17 Li 0.3782 0.0966 0.8531
18 Li 0.3782 0.4034 0.3531
19 Li 0.3879 0.6326 0.1488
20 Li 0.3879 0.8674 0.6488
21 Li 0.6121 0.1326 0.3512
22 Li 0.6121 0.3674 0.8512
23 Li 0.6218 0.5966 0.6469
24 Li 0.6218 0.9034 0.1469
25 Li 0.6335 0.6542 0.4069
26 Li 0.6335 0.8458 0.9069
27 Li 0.6424 0.6386 0.1328
28 Li 0.6424 0.8614 0.6328
29 Li 0.6491 0.1037 0.9004
30 Li 0.6491 0.3963 0.4004
31 Li 0.8509 0.6037 0.9004
32 Li 0.8509 0.8963 0.4004
33 Li 0.8576 0.1386 0.1328
34 Li 0.8576 0.3614 0.6328
35 Li 0.8665 0.1542 0.4069
36 Li 0.8665 0.3458 0.9069
37 Li 0.8782 0.0966 0.6469
38 Li 0.8782 0.4034 0.1469
39 Li 0.8879 0.6326 0.3512
40 Li 0.8879 0.8674 0.8512
41 Sb 0.0830 0.1454 0.8549
42 Sb 0.0830 0.3546 0.3549
43 Sb 0.4170 0.6454 0.8549
44 Sb 0.4170 0.8546 0.3549
45 Sb 0.5830 0.1454 0.6451
46 Sb 0.5830 0.3546 0.1451
47 Sb 0.9170 0.6454 0.6451
48 Sb 0.9170 0.8546 0.1451
49 S 0.0031 0.7328 0.9573
50 S 0.0031 0.7672 0.4573
51 S 0.0295 0.5298 0.2260
52 S 0.0295 0.9702 0.7260
53 S 0.2150 0.0320 0.9848
54 S 0.2150 0.4680 0.4848
55 S 0.2459 0.7267 0.7391
56 S 0.2459 0.7733 0.2391
57 S 0.2541 0.2267 0.7391
58 S 0.2541 0.2733 0.2391
59 S 0.2850 0.5320 0.9848
60 S 0.2850 0.9680 0.4848
61 S 0.4705 0.0298 0.2260
62 S 0.4705 0.4702 0.7260
63 S 0.4969 0.2328 0.9573
64 S 0.4969 0.2672 0.4573
65 S 0.5031 0.7328 0.5427
66 S 0.5031 0.7672 0.0427
67 S 0.5295 0.5298 0.2740
68 S 0.5295 0.9702 0.7740
69 S 0.7150 0.0320 0.5152
70 S 0.7150 0.4680 0.0152
71 S 0.7459 0.7267 0.7609
72 S 0.7459 0.7733 0.2609
73 S 0.7541 0.2267 0.7609
74 S 0.7541 0.2733 0.2609
75 S 0.7850 0.5320 0.5152
76 S 0.7850 0.9680 0.0152
77 S 0.9705 0.0298 0.2740
78 S 0.9705 0.4702 0.7740
79 S 0.9969 0.2328 0.5427
80 S 0.9969 0.2672 0.0427

---

DFT (PBE-GGA) results for a relaxed Mg2CO5 crystal.

Summary:
E: -49.98 eV per formula unit
total magnetization: 8.007 μB per cell
formation energy: -196 kJ/mol of atoms

a b c (Å): 3.2473 8.9086 12.7706
angles (deg): 90.00 96.68 90.00
Fractional positions:
1 Mg 0.0133 0.0060 0.2921
2 Mg 0.0133 0.4940 0.7921
3 Mg 0.4160 0.7172 0.5825
4 Mg 0.4160 0.7828 0.0825
5 Mg 0.5840 0.2172 0.9175
6 Mg 0.5840 0.2828 0.4175
7 Mg 0.9867 0.5060 0.2079
8 Mg 0.9867 0.9940 0.7079
9 C 0.4689 0.7267 0.3442
10 C 0.4689 0.7733 0.8442
11 C 0.5311 0.2267 0.1558
12 C 0.5311 0.2733 0.6558
13 O 0.0532 0.1030 0.8510
14 O 0.0532 0.3970 0.3510
15 O 0.0863 0.1447 0.4188
16 O 0.0863 0.3553 0.9188
17 O 0.3555 0.6589 0.4242
18 O 0.3555 0.8411 0.9242
19 O 0.4636 0.1296 0.6540
20 O 0.4636 0.3704 0.1540
21 O 0.4982 0.6519 0.2571
22 O 0.4982 0.8481 0.7571
23 O 0.5018 0.1519 0.2429
24 O 0.5018 0.3481 0.7429
25 O 0.5364 0.6296 0.8460
26 O 0.5364 0.8704 0.3460
27 O 0.6445 0.1589 0.0758
28 O 0.6445 0.3411 0.5758
29 O 0.9137 0.6447 0.0812
30 O 0.9137 0.8553 0.5812
31 O 0.9468 0.6030 0.6490
32 O 0.9468 0.8970 0.1490

---

DFT (PBE-GGA) results for a relaxed ZrMnP crystal.

Summary:
E: -26.23 eV per formula unit
formation energy: -100 kJ/mol of atoms

a b c (Å): 6.4534 3.6405 7.5344
angles (deg): 90.00 90.00 90.00
Fractional positions:
1 Zr 0.0308 0.2500 0.1756
2 Zr 0.4692 0.7500 0.6756
3 Zr 0.5308 0.2500 0.3244
4 Zr 0.9692 0.7500 0.8244
5 Mn 0.1351 0.2500 0.5595
6 Mn 0.3649 0.7500 0.0595
7 Mn 0.6351 0.2500 0.9405
8 Mn 0.8649 0.7500 0.4405
9 P 0.2316 0.7500 0.3732
10 P 0.2684 0.2500 0.8732
11 P 0.7316 0.7500 0.1268
12 P 0.7684 0.2500 0.6268